No. 1
This record from the Materials Project describes a relaxed structure of K2Al11Si13Ag9O48. The functional is PBE-GGA. Values from VASP.

```
&SYSTEM
  ibrav = 0, nat = 83, ntyp = 5
/
ATOMIC_SPECIES
K 39.10 K.upf
Al 26.98 Al.upf
Si 28.09 Si.upf
Ag 107.87 Ag.upf
O 16.00 O.upf
CELL_PARAMETERS angstrom
12.175 0.000 0.000
0.015 12.339 0.000
0.001 0.108 12.924
ATOMIC_POSITIONS crystal
K 0.000 0.000 0.000
K 0.409 0.136 0.961
Al 0.002 0.368 0.669
Al 0.002 0.633 0.672
Al 0.003 0.799 0.884
Al 0.004 0.196 0.879
Al 0.010 0.373 0.321
Al 0.211 0.994 0.882
Al 0.374 0.000 0.678
Al 0.378 0.005 0.332
Al 0.646 0.000 0.665
Al 0.794 0.998 0.884
Al 0.809 0.002 0.137
Si 0.005 0.810 0.137
Si 0.007 0.192 0.133
Si 0.012 0.633 0.324
Si 0.193 0.632 0.501
Si 0.194 0.000 0.138
Si 0.194 0.371 0.501
Si 0.373 0.189 0.512
Si 0.376 0.813 0.513
Si 0.627 0.007 0.330
Si 0.634 0.190 0.506
Si 0.635 0.815 0.503
Si 0.815 0.372 0.491
Si 0.819 0.632 0.492
Ag 0.163 0.166 0.695
Ag 0.174 0.823 0.704
Ag 0.196 0.189 0.315
Ag 0.221 0.806 0.305
Ag 0.799 0.810 0.302
Ag 0.813 0.193 0.304
Ag 0.828 0.818 0.709
Ag 0.831 0.182 0.705
Ag 0.993 0.997 0.732
O 0.000 0.284 0.776
O 0.002 0.710 0.783
O 0.006 0.768 0.020
O 0.008 0.500 0.696
O 0.009 0.510 0.291
O 0.011 0.227 0.013
O 0.016 0.292 0.212
O 0.016 0.712 0.222
O 0.115 0.891 0.159
O 0.116 0.109 0.160
O 0.117 0.676 0.594
O 0.121 0.327 0.597
O 0.124 0.882 0.864
O 0.125 0.111 0.860
O 0.127 0.663 0.389
O 0.132 0.343 0.391
O 0.218 0.502 0.504
O 0.244 0.003 0.021
O 0.284 0.000 0.229
O 0.309 0.698 0.496
O 0.312 0.308 0.502
O 0.322 0.120 0.610
O 0.328 0.876 0.615
O 0.329 0.007 0.808
O 0.351 0.124 0.403
O 0.354 0.886 0.408
O 0.505 0.216 0.525
O 0.507 0.009 0.278
O 0.507 0.781 0.522
O 0.509 0.000 0.647
O 0.644 0.893 0.397
O 0.647 0.117 0.399
O 0.693 0.122 0.599
O 0.693 0.879 0.597
O 0.697 0.999 0.789
O 0.698 0.306 0.485
O 0.707 0.706 0.473
O 0.724 0.008 0.245
O 0.759 0.999 0.014
O 0.788 0.504 0.485
O 0.879 0.667 0.598
O 0.881 0.337 0.594
O 0.886 0.339 0.387
O 0.888 0.886 0.864
O 0.890 0.108 0.861
O 0.896 0.883 0.163
O 0.898 0.117 0.157
O 0.900 0.667 0.391
```

No. 2
This record from the Materials Project describes a relaxed structure of LuAlAg2. The functional is PBE-GGA. Values from VASP.

```
&SYSTEM
  ibrav = 0, nat = 4, ntyp = 3
/
ATOMIC_SPECIES
Lu 174.97 Lu.upf
Al 26.98 Al.upf
Ag 107.87 Ag.upf
CELL_PARAMETERS angstrom
0.000 3.378 3.378
3.378 0.000 3.378
3.378 3.378 0.000
ATOMIC_POSITIONS crystal
Lu 0.000 0.000 0.000
Al 0.500 0.500 0.500
Ag 0.250 0.250 0.250
Ag 0.750 0.750 0.750
```

Calculated values (eV/f.u.) of total DFT energy (no corrections) for the records, taken in order: -569.38 -15.25.
Calculated values (eV per atom) of ΔH_f (0 K) for the records, taken in order: -2.716 -0.328.